LuNiGe: optimized geometry, PBE.

```
data_LuNiGe
_space_group_name_H-M_alt 'P 1'
_space_group_IT_number 1
_space_group_name_Hall 'P 1'
_cell_length_a 11.185
_cell_length_b 11.185
_cell_length_c 9.161
_cell_angle_alpha 90.00
_cell_angle_beta 90.00
_cell_angle_gamma 158.75
loop_
_atom_site_label
_atom_site_type_symbol
_atom_site_fract_x
_atom_site_fract_y
_atom_site_fract_z
Lu1 Lu 0.083 0.917 0.560
Lu2 Lu 0.083 0.917 0.940
Lu3 Lu 0.226 0.774 0.750
Lu4 Lu 0.385 0.615 0.750
Lu5 Lu 0.615 0.385 0.250
Lu6 Lu 0.774 0.226 0.250
Lu7 Lu 0.917 0.083 0.060
Lu8 Lu 0.917 0.083 0.440
Ni1 Ni 0.309 0.691 0.017
Ni2 Ni 0.309 0.691 0.483
Ni3 Ni 0.472 0.528 0.250
Ni4 Ni 0.500 0.500 0.000
Ni5 Ni 0.500 0.500 0.500
Ni6 Ni 0.528 0.472 0.750
Ni7 Ni 0.691 0.309 0.517
Ni8 Ni 0.691 0.309 0.983
Ge1 Ge 0.025 0.975 0.250
Ge2 Ge 0.200 0.800 0.103
Ge3 Ge 0.200 0.800 0.397
Ge4 Ge 0.364 0.636 0.250
Ge5 Ge 0.636 0.364 0.750
Ge6 Ge 0.800 0.200 0.603
Ge7 Ge 0.800 0.200 0.897
Ge8 Ge 0.975 0.025 0.750
```

Summary:
- E (eV/atom) = -5.6958

NaAlGaPS2O12: optimized geometry, PBE.

```
data_NaAlGaPS2O12
_space_group_name_H-M_alt 'P 1'
_space_group_IT_number 1
_space_group_name_Hall 'P 1'
_cell_length_a 8.388
_cell_length_b 8.390
_cell_length_c 21.956
_cell_angle_alpha 89.98
_cell_angle_beta 89.96
_cell_angle_gamma 60.06
loop_
_atom_site_label
_atom_site_type_symbol
_atom_site_fract_x
_atom_site_fract_y
_atom_site_fract_z
Na1 Na 0.000 0.000 0.000
Na2 Na 0.002 0.000 0.501
Na3 Na 0.320 0.346 0.167
Na4 Na 0.336 0.345 0.667
Na5 Na 0.659 0.670 0.834
Na6 Na 0.672 0.670 0.334
Al1 Al 0.319 0.359 0.019
Al2 Al 0.324 0.359 0.520
Al3 Al 0.658 0.665 0.687
Al4 Al 0.663 0.678 0.981
Al5 Al 0.996 0.008 0.648
Al6 Al 0.997 0.010 0.853
Ga1 Ga 0.312 0.348 0.315
Ga2 Ga 0.343 0.349 0.815
Ga3 Ga 0.661 0.678 0.483
Ga4 Ga 0.679 0.664 0.185
Ga5 Ga 0.996 0.009 0.353
Ga6 Ga 0.997 0.007 0.147
P1 P 0.037 0.635 0.418
P2 P 0.330 0.638 0.918
P3 P 0.371 0.678 0.584
P4 P 0.716 0.292 0.750
P5 P 0.953 0.676 0.082
P6 P 0.996 0.295 0.250
S1 S 0.041 0.342 0.917
S2 S 0.285 0.009 0.750
S3 S 0.290 0.717 0.250
S4 S 0.331 0.056 0.419
S5 S 0.376 0.967 0.082
S6 S 0.615 0.342 0.417
S7 S 0.618 0.053 0.918
S8 S 0.660 0.387 0.082
S9 S 0.662 0.967 0.585
S10 S 0.702 0.011 0.251
S11 S 0.955 0.384 0.585
S12 S 0.992 0.723 0.749
O1 O 0.021 0.177 0.910
O2 O 0.021 0.826 0.411
O3 O 0.027 0.803 0.695
O4 O 0.030 0.179 0.192
O5 O 0.114 0.521 0.360
O6 O 0.118 0.377 0.861
O7 O 0.140 0.363 0.577
O8 O 0.144 0.503 0.074
O9 O 0.155 0.537 0.755
O10 O 0.156 0.828 0.908
O11 O 0.157 0.307 0.971
O12 O 0.158 0.546 0.474
O13 O 0.163 0.041 0.413
O14 O 0.170 0.314 0.255
O15 O 0.172 0.038 0.695
O16 O 0.176 0.793 0.195
O17 O 0.178 0.848 0.594
O18 O 0.192 0.985 0.087
O19 O 0.206 0.974 0.805
O20 O 0.212 0.828 0.305
O21 O 0.294 0.549 0.973
O22 O 0.300 0.176 0.757
O23 O 0.304 0.169 0.473
O24 O 0.313 0.532 0.256
O25 O 0.355 0.504 0.576
O26 O 0.359 0.150 0.074
O27 O 0.366 0.129 0.362
O28 O 0.371 0.520 0.860
O29 O 0.450 0.717 0.526
O30 O 0.460 0.850 0.028
O31 O 0.471 0.845 0.743
O32 O 0.472 0.704 0.243
O33 O 0.484 0.890 0.139
O34 O 0.494 0.643 0.640
O35 O 0.494 0.870 0.423
O36 O 0.495 0.149 0.577
O37 O 0.497 0.363 0.074
O38 O 0.501 0.658 0.928
O39 O 0.506 0.125 0.862
O40 O 0.508 0.372 0.361
O41 O 0.521 0.179 0.257
O42 O 0.522 0.312 0.755
O43 O 0.533 0.169 0.972
O44 O 0.533 0.311 0.472
O45 O 0.620 0.498 0.138
O46 O 0.632 0.881 0.639
O47 O 0.634 0.508 0.423
O48 O 0.641 0.867 0.926
O49 O 0.680 0.848 0.244
O50 O 0.691 0.473 0.028
O51 O 0.695 0.486 0.743
O52 O 0.702 0.855 0.529
O53 O 0.781 0.043 0.195
O54 O 0.800 0.176 0.413
O55 O 0.802 0.036 0.910
O56 O 0.803 0.175 0.693
O57 O 0.817 0.973 0.306
O58 O 0.822 0.487 0.245
O59 O 0.825 0.708 0.741
O60 O 0.826 0.988 0.593
O61 O 0.827 0.205 0.088
O62 O 0.830 0.707 0.026
O63 O 0.831 0.206 0.808
O64 O 0.843 0.458 0.529
O65 O 0.845 0.654 0.425
O66 O 0.857 0.507 0.925
O67 O 0.873 0.503 0.639
O68 O 0.877 0.638 0.140
O69 O 0.962 0.213 0.308
O70 O 0.963 0.833 0.805
O71 O 0.972 0.849 0.089
O72 O 0.973 0.200 0.593
```

Summary:
- E (eV/atom) = -6.4236

Pr9Be4O20: optimized geometry, PBE.

```
data_Pr9Be4O20
_space_group_name_H-M_alt 'P 1'
_space_group_IT_number 1
_space_group_name_Hall 'P 1'
_cell_length_a 6.537
_cell_length_b 7.326
_cell_length_c 9.531
_cell_angle_alpha 89.99
_cell_angle_beta 89.45
_cell_angle_gamma 89.46
loop_
_atom_site_label
_atom_site_type_symbol
_atom_site_fract_x
_atom_site_fract_y
_atom_site_fract_z
Pr1 Pr 0.000 0.000 0.000
Pr2 Pr 0.007 0.463 0.006
Pr3 Pr 0.020 0.736 0.313
Pr4 Pr 0.333 0.731 0.790
Pr5 Pr 0.344 0.042 0.500
Pr6 Pr 0.496 0.540 0.175
Pr7 Pr 0.524 0.227 0.866
Pr8 Pr 0.818 0.235 0.364
Pr9 Pr 0.852 0.533 0.655
Be1 Be 0.101 0.230 0.730
Be2 Be 0.236 0.227 0.220
Be3 Be 0.594 0.730 0.444
Be4 Be 0.729 0.730 0.938
O1 O 0.043 0.254 0.563
O2 O 0.098 0.053 0.269
O3 O 0.114 0.427 0.251
O4 O 0.120 0.758 0.559
O5 O 0.207 0.429 0.778
O6 O 0.242 0.720 0.050
O7 O 0.249 0.054 0.761
O8 O 0.268 0.235 0.050
O9 O 0.380 0.744 0.363
O10 O 0.447 0.251 0.308
O11 O 0.573 0.764 0.608
O12 O 0.612 0.262 0.605
O13 O 0.615 0.548 0.891
O14 O 0.630 0.922 0.908
O15 O 0.703 0.927 0.410
O16 O 0.740 0.558 0.402
O17 O 0.749 0.269 0.108
O18 O 0.797 0.718 0.106
O19 O 0.899 0.238 0.832
O20 O 0.950 0.737 0.847
```

Summary:
- E (eV/atom) = -7.5295